Rb3Ce: optimized geometry, PBE-GGA.

POSCAR file:
```
Rb3Ce
1.0
7.475 0.000 0.000
0.000 7.475 0.000
0.000 0.000 7.475
Rb Ce
3 1
direct
0.000 0.500 0.500
0.500 0.000 0.500
0.500 0.500 0.000
0.000 0.000 0.000
```

## Properties
V ... 104.433 A^3/atom
Formation enthalpy at 0 K ... 310 kJ/mol of formula units
Magnetization ... 2.11 μB/cell
Density ... 1.58 g/cm3
Space group ... No. 221